Entry 1:
DFT (PBE-GGA) results for Sr2MgOsO6 after structural relaxation.

a = 5.6303 Å, b = 5.6303 Å, c = 5.6303 Å
α = 120.17°, β = 120.17°, γ = 89.70°
Last column: nearest neighbours and their distance in Å.
Sites, in units of the cell vectors:
Sr 0.7500 0.2500 0.5000  12 O 2.70-2.94
Sr 0.2500 0.7500 0.5000  12 O 2.70-2.94
Mg 0.5000 0.5000 0.0000  6 O 2.05
Os 0.0000 0.0000 0.0000  6 O 1.93-1.94
O 0.7788 0.7363 0.5151  1 Os 1.93, 1 Mg 2.05
O 0.2212 0.2637 0.4849  1 Os 1.93, 1 Mg 2.05
O 0.7363 0.2212 0.9575  1 Os 1.93, 1 Mg 2.05
O 0.2637 0.7788 0.0425  1 Os 1.93, 1 Mg 2.05
O 0.2431 0.2431 0.0000  1 Os 1.94, 1 Mg 2.05
O 0.7569 0.7569 0.0000  1 Os 1.94, 1 Mg 2.05

Summary:
For the spin magnetization, the calculation gives 2.00 μB/f.u. As for the space group: I4/m.

***

Entry 2:
DFT (PBE-GGA) results for CuAsF7 after structural relaxation.

a = 7.3838 Å, b = 7.3838 Å, c = 7.3838 Å
α = 123.59°, β = 123.58°, γ = 83.90°
Last column: nearest neighbours and their distance in Å.
Sites, in units of the cell vectors:
Cu 0.5000 0.0000 0.0000  2 F 1.87
Cu 0.0000 0.0000 0.5000  2 F 1.87
As 0.5000 0.0000 0.5000  6 F 1.74-1.80
As 0.0000 0.5000 0.5000  6 F 1.74-1.80
F 0.2500 0.0968 0.8468  2 Cu 1.87
F 0.7500 0.9032 0.1532  2 Cu 1.87
F 0.5298 0.2745 0.7446  1 As 1.74
F 0.9702 0.7148 0.7446  1 As 1.74
F 0.0681 0.3528 0.6491  1 As 1.80
F 0.4319 0.0810 0.2847  1 As 1.80
F 0.2963 0.6472 0.7153  1 As 1.80
F 0.2037 0.9190 0.3509  1 As 1.80
F 0.9319 0.6472 0.3509  1 As 1.80
F 0.5681 0.9190 0.7153  1 As 1.80
F 0.7037 0.3528 0.2847  1 As 1.80
F 0.7963 0.0810 0.6491  1 As 1.80
F 0.0298 0.2852 0.2554  1 As 1.74
F 0.4702 0.7255 0.2554  1 As 1.74

Summary:
As for the space group: Imma.

***

Entry 3:
DFT (PBE-GGA) results for K2TlAgI6 after structural relaxation.

a = 8.5097 Å, b = 8.5097 Å, c = 8.5097 Å
α = 60.00°, β = 60.00°, γ = 60.00°
Last column: nearest neighbours and their distance in Å.
Sites, in units of the cell vectors:
K 0.7500 0.7500 0.7500  12 I 4.26
K 0.2500 0.2500 0.2500  12 I 4.26
Tl 0.0000 0.0000 0.0000  6 I 3.08
Ag 0.5000 0.5000 0.5000  6 I 2.94
I 0.7444 0.2556 0.2556  1 Ag 2.94, 1 Tl 3.08
I 0.2556 0.2556 0.7444  1 Ag 2.94, 1 Tl 3.08
I 0.2556 0.7444 0.7444  1 Ag 2.94, 1 Tl 3.08
I 0.2556 0.7444 0.2556  1 Ag 2.94, 1 Tl 3.08
I 0.7444 0.2556 0.7444  1 Ag 2.94, 1 Tl 3.08
I 0.7444 0.7444 0.2556  1 Ag 2.94, 1 Tl 3.08

Summary:
For the spin magnetization, the calculation gives 0.00 μB/f.u. As for the space group: Fm-3m.

***

Entry 4:
DFT (PBE-GGA) results for PaNi3 after structural relaxation.

a = 5.2770 Å, b = 5.2770 Å, c = 4.7034 Å
α = 90.00°, β = 90.00°, γ = 120.00°
Last column: nearest neighbours and their distance in Å.
Sites, in units of the cell vectors:
Pa 0.3333 0.6667 0.7500  12 Ni 2.64-2.84
Pa 0.6667 0.3333 0.2500  12 Ni 2.64-2.84
Ni 0.1593 0.3187 0.2500  8 Ni 2.52-2.77, 2 Pa 2.64
Ni 0.6813 0.8407 0.2500  8 Ni 2.52-2.77, 2 Pa 2.64
Ni 0.1593 0.8407 0.2500  8 Ni 2.52-2.77, 2 Pa 2.64
Ni 0.8407 0.6813 0.7500  8 Ni 2.52-2.77, 2 Pa 2.64
Ni 0.3187 0.1593 0.7500  8 Ni 2.52-2.77, 2 Pa 2.64
Ni 0.8407 0.1593 0.7500  8 Ni 2.52-2.77, 2 Pa 2.64

Summary:
As for the space group: P6_3/mmc.

***

Entry 5:
DFT (PBE-GGA) results for YMg6V after structural relaxation.

a = 5.0927 Å, b = 6.5081 Å, c = 11.2004 Å
α = 90.00°, β = 90.00°, γ = 90.00°
Last column: nearest neighbours and their distance in Å.
Sites, in units of the cell vectors:
Y 0.0000 0.5000 0.3265  2 V 3.11, 10 Mg 3.15-3.32
Y 0.0000 0.0000 0.8265  2 V 3.11, 10 Mg 3.15-3.32
Mg 0.0000 0.2599 0.0821  8 Mg 3.13-3.38, 2 V 3.14, 2 Y 3.15-3.32
Mg 0.0000 0.7401 0.0821  8 Mg 3.13-3.38, 2 V 3.14, 2 Y 3.15-3.32
Mg 0.0000 0.5000 0.8378  10 Mg 3.14-3.33, 2 Y 3.26
Mg 0.5000 0.2548 0.9192  8 Mg 3.13-3.32, 2 V 3.21-3.27, 2 Y 3.21
Mg 0.5000 0.7452 0.9192  8 Mg 3.13-3.32, 2 V 3.21-3.27, 2 Y 3.21
Mg 0.5000 0.5000 0.6656  10 Mg 3.19-3.26, 2 V 3.25
Mg 0.0000 0.7599 0.5821  8 Mg 3.13-3.38, 2 V 3.14, 2 Y 3.15-3.32
Mg 0.0000 0.2401 0.5821  8 Mg 3.13-3.38, 2 V 3.14, 2 Y 3.15-3.32
Mg 0.0000 0.0000 0.3378  10 Mg 3.14-3.33, 2 Y 3.26
Mg 0.5000 0.7548 0.4192  8 Mg 3.13-3.32, 2 V 3.21-3.27, 2 Y 3.21
Mg 0.5000 0.2452 0.4192  8 Mg 3.13-3.32, 2 V 3.21-3.27, 2 Y 3.21
Mg 0.5000 0.0000 0.1656  10 Mg 3.19-3.26, 2 V 3.25
V 0.5000 0.5000 0.1676  2 Y 3.11, 10 Mg 3.14-3.27
V 0.5000 0.0000 0.6676  2 Y 3.11, 10 Mg 3.14-3.27

Summary:
As for the polymorph energy (0 for the lowest one): 0.0000 eV per atom. For the spin magnetization, the calculation gives 3.34 μB/f.u.

***

Entry 6:
DFT (PBE-GGA) results for KMg2B12H19O30 after structural relaxation.

a = 10.2804 Å, b = 10.2804 Å, c = 14.8080 Å
α = 80.85°, β = 80.85°, γ = 48.92°
Last column: nearest neighbours and their distance in Å.
Sites, in units of the cell vectors:
K 0.1228 0.8772 0.2500  8 O 2.95-3.05, 5 H 3.14-3.29
K 0.8772 0.1228 0.7500  8 O 2.95-3.05, 5 H 3.14-3.29
Mg 0.2841 0.4403 0.1649  6 O 2.07-2.18
Mg 0.5597 0.7159 0.3351  6 O 2.07-2.18
Mg 0.7159 0.5597 0.8351  6 O 2.07-2.18
Mg 0.4403 0.2841 0.6649  6 O 2.07-2.18
B 0.6461 0.3531 0.1084  4 O 1.47-1.49
B 0.6469 0.3539 0.3916  4 O 1.47-1.49
B 0.3539 0.6469 0.8916  4 O 1.47-1.49
B 0.3531 0.6461 0.6084  4 O 1.47-1.49
B 0.7686 0.0934 0.0253  3 O 1.37-1.39
B 0.9066 0.2314 0.4747  3 O 1.37-1.39
B 0.2314 0.9066 0.9747  3 O 1.37-1.39
B 0.0934 0.7686 0.5253  3 O 1.37-1.39
B 0.6847 0.0940 0.1965  4 O 1.42-1.53
B 0.9060 0.3153 0.3035  4 O 1.42-1.53
B 0.3153 0.9060 0.8035  4 O 1.42-1.53
B 0.0940 0.6847 0.6965  4 O 1.42-1.53
B 0.9390 0.5343 0.2549  3 O 1.35-1.40
B 0.4657 0.0610 0.2451  3 O 1.35-1.40
B 0.0610 0.4657 0.7451  3 O 1.35-1.40
B 0.5343 0.9390 0.7549  3 O 1.35-1.40
B 0.1555 0.2354 0.1931  4 O 1.45-1.51
B 0.7646 0.8445 0.3069  4 O 1.45-1.51
B 0.8445 0.7646 0.8069  4 O 1.45-1.51
B 0.2354 0.1555 0.6931  4 O 1.45-1.51
B 0.2558 0.2613 0.0227  3 O 1.36-1.40
B 0.7387 0.7442 0.4773  3 O 1.36-1.40
B 0.7442 0.7387 0.9773  3 O 1.36-1.40
B 0.2613 0.2558 0.5227  3 O 1.36-1.40
H 0.2627 0.7373 0.7500  2 O 1.21
H 0.7373 0.2627 0.2500  2 O 1.21
H 0.8307 0.3657 0.1318  1 O 0.99
H 0.6343 0.1693 0.3682  1 O 0.99
H 0.1693 0.6343 0.8682  1 O 0.99
H 0.3657 0.8307 0.6318  1 O 0.99
H 0.1627 0.0763 0.0651  1 O 1.00
H 0.9237 0.8373 0.4349  1 O 1.00
H 0.8373 0.9237 0.9349  1 O 1.00
H 0.0763 0.1627 0.5651  1 O 1.00
H 0.4061 0.5813 0.0668  1 O 0.99
H 0.4187 0.5939 0.4332  1 O 0.99
H 0.5939 0.4187 0.9332  1 O 0.99
H 0.5813 0.4061 0.5668  1 O 0.99
H 0.7281 0.8635 0.0778  1 O 0.99
H 0.1365 0.2719 0.4222  1 O 0.99
H 0.2719 0.1365 0.9222  1 O 0.99
H 0.8635 0.7281 0.5778  1 O 0.99
H 0.2990 0.4296 0.9829  1 O 1.00
H 0.5704 0.7010 0.5171  1 O 1.00
H 0.7010 0.5704 0.0171  1 O 1.00
H 0.4296 0.2990 0.4829  1 O 1.00
H 0.9775 0.7787 0.1289  1 O 0.98
H 0.2213 0.0225 0.3711  1 O 0.98
H 0.0225 0.2213 0.8711  1 O 0.98
H 0.7787 0.9775 0.6289  1 O 0.98
H 0.1330 0.7308 0.0556  1 O 0.98
H 0.2692 0.8670 0.4444  1 O 0.98
H 0.8670 0.2692 0.9444  1 O 0.98
H 0.7308 0.1330 0.5556  1 O 0.98
H 0.5683 0.6242 0.1738  1 O 1.00
H 0.3758 0.4317 0.3262  1 O 1.00
H 0.4317 0.3758 0.8262  1 O 1.00
H 0.6242 0.5683 0.6738  1 O 1.00
H 0.5049 0.8105 0.1650  1 O 0.98
H 0.1895 0.4951 0.3350  1 O 0.98
H 0.4951 0.1895 0.8350  1 O 0.98
H 0.8105 0.5049 0.6650  1 O 0.98
O 0.7171 0.2568 0.0242  2 B 1.39-1.49
O 0.7432 0.2829 0.4758  2 B 1.39-1.49
O 0.2829 0.7432 0.9758  2 B 1.39-1.49
O 0.2568 0.7171 0.5242  2 B 1.39-1.49
O 0.6979 0.2305 0.1896  1 H 1.21
O 0.7695 0.3021 0.3104  1 H 1.21
O 0.3021 0.7695 0.8104  1 H 1.21
O 0.2305 0.6979 0.6896  1 H 1.21
O 0.7568 0.0101 0.1053  2 B 1.38-1.53
O 0.9899 0.2432 0.3947  2 B 1.38-1.53
O 0.2432 0.9899 0.8947  2 B 1.38-1.53
O 0.0101 0.7568 0.6053  2 B 1.38-1.53
O 0.0230 0.2240 0.2270  2 B 1.42-1.45
O 0.7760 0.9770 0.2730  2 B 1.42-1.45
O 0.9770 0.7760 0.7730  2 B 1.42-1.45
O 0.2240 0.0230 0.7270  2 B 1.42-1.45
O 0.4967 0.1725 0.2074  2 B 1.39-1.52
O 0.8275 0.5033 0.2926  2 B 1.39-1.52
O 0.5033 0.8275 0.7926  2 B 1.39-1.52
O 0.1725 0.4967 0.7074  2 B 1.39-1.52
O 0.3154 0.0967 0.2381  2 B 1.35-1.46
O 0.9033 0.6846 0.2619  2 B 1.35-1.46
O 0.6846 0.9033 0.7619  2 B 1.35-1.46
O 0.0967 0.3154 0.7381  2 B 1.35-1.46
O 0.0985 0.4075 0.2101  2 B 1.40-1.51
O 0.5925 0.9015 0.2899  2 B 1.40-1.51
O 0.9015 0.5925 0.7899  2 B 1.40-1.51
O 0.4075 0.0985 0.7101  2 B 1.40-1.51
O 0.1882 0.2122 0.0917  2 B 1.36-1.51
O 0.7878 0.8118 0.4083  2 B 1.36-1.51
O 0.8118 0.7878 0.9083  2 B 1.36-1.51
O 0.2122 0.1882 0.5917  2 B 1.36-1.51
O 0.7145 0.4427 0.1086  1 H 0.99
O 0.5573 0.2855 0.3914  1 H 0.99
O 0.2855 0.5573 0.8914  1 H 0.99
O 0.4427 0.7145 0.6086  1 H 0.99
O 0.1653 0.9799 0.0573  1 H 1.00
O 0.0201 0.8347 0.4427  1 H 1.00
O 0.8347 0.0201 0.9427  1 H 1.00
O 0.9799 0.1653 0.5573  1 H 1.00
O 0.4562 0.4811 0.1125  1 H 0.99
O 0.5189 0.5438 0.3875  1 H 0.99
O 0.5438 0.5189 0.8875  1 H 0.99
O 0.4811 0.4562 0.6125  1 H 0.99
O 0.7038 0.7896 0.0653  1 H 0.99
O 0.2104 0.2962 0.4347  1 H 0.99
O 0.2962 0.2104 0.9347  1 H 0.99
O 0.7896 0.7038 0.5653  1 H 0.99
O 0.2891 0.3669 0.0391  1 H 1.00
O 0.6331 0.7109 0.4609  1 H 1.00
O 0.7109 0.6331 0.9609  1 H 1.00
O 0.3669 0.2891 0.5391  1 H 1.00
O 0.1037 0.6956 0.1155  2 H 0.98
O 0.3044 0.8963 0.3845  2 H 0.98
O 0.8963 0.3044 0.8845  2 H 0.98
O 0.6956 0.1037 0.6155  2 H 0.98
O 0.4914 0.7343 0.2052  2 H 0.98-1.00
O 0.2657 0.5086 0.2948  2 H 0.98-1.00
O 0.5086 0.2657 0.7948  2 H 0.98-1.00
O 0.7343 0.4914 0.7052  2 H 0.98-1.00

Summary:
For the spin magnetization, the calculation gives 0.00 μB/f.u. As for the space group: C2/c.

***

Respective ΔH_f (0 K) values: -26.35, -19.80, -9.24, -1.64, 1.23, -139.42 eV per formula unit.
Respective raw total energy values: -68.12, -77.45, -23.53, -57.00, -47.85, -832.36 eV for the cell shown.